First-principles (PBE) data for crystalline Th7Rh3 at its relaxed geometry, as listed in the Materials Project.

Properties
VASP energy ... -0.29321 Ha/atom
Energy relative to the elements ... -0.580 eV per atom

abc: 10.0314 10.0314 6.2762
angles: 90.00 90.00 120.00
Closest atoms and distances in Å follow each position.
Positions (direct):
Rh 0.8152 0.1848 0.3017  6 Th 2.87-3.12
Rh 0.1848 0.3695 0.8017  6 Th 2.87-3.12
Rh 0.3695 0.1848 0.3017  6 Th 2.87-3.12
Rh 0.6305 0.8152 0.8017  6 Th 2.87-3.12
Rh 0.8152 0.6305 0.3017  6 Th 2.87-3.12
Rh 0.1848 0.8152 0.8017  6 Th 2.87-3.12
Th 0.5413 0.4587 0.0388  2 Rh 2.92
Th 0.4587 0.9174 0.5388  2 Rh 2.92
Th 0.8717 0.7435 0.7461  3 Rh 2.87-2.96
Th 0.6667 0.3333 0.5813  3 Rh 3.12
Th 0.8717 0.1283 0.7461  3 Rh 2.87-2.96
Th 0.5413 0.0826 0.0388  2 Rh 2.92
Th 0.4587 0.5413 0.5388  2 Rh 2.92
Th 0.1283 0.8717 0.2461  3 Rh 2.87-2.96
Th 0.0826 0.5413 0.5388  2 Rh 2.92
Th 0.1283 0.2565 0.2461  3 Rh 2.87-2.96
Th 0.3333 0.6667 0.0813  3 Rh 3.12
Th 0.7435 0.8717 0.2461  3 Rh 2.87-2.96
Th 0.2565 0.1283 0.7461  3 Rh 2.87-2.96
Th 0.9174 0.4587 0.0388  2 Rh 2.92

***

First-principles (PBE) data for crystalline Th3Rh at its relaxed geometry, as listed in the Materials Project.

Properties
VASP energy ... -0.27383 Ha/atom
Energy relative to the elements ... -0.050 eV per atom

abc: 6.1928 6.1928 6.1928
angles: 137.23 137.23 62.09
Closest atoms and distances in Å follow each position.
Positions (direct):
Th 0.7500 0.2500 0.5000  8 Th 3.19-3.48, 4 Rh 3.48
Th 0.2500 0.7500 0.5000  8 Th 3.19-3.48, 4 Rh 3.48
Th 0.5000 0.5000 0.0000  4 Rh 3.19, 8 Th 3.48
Rh 0.0000 0.0000 0.0000  12 Th 3.19-3.48

***

First-principles (PBE) data for crystalline TiRh at its relaxed geometry, as listed in the Materials Project.

Properties
VASP energy ... -0.30764 Ha/atom
Energy relative to the elements ... -0.741 eV per atom

abc: 2.9819 2.9819 3.3839
angles: 90.00 90.00 90.00
Closest atoms and distances in Å follow each position.
Positions (direct):
Ti 0.5000 0.5000 0.5000  8 Rh 2.70, 4 Ti 2.98
Rh 0.0000 0.0000 0.0000  8 Ti 2.70, 4 Rh 2.98

***

First-principles (PBE) data for crystalline TiRh at its relaxed geometry, as listed in the Materials Project.

Properties
VASP energy ... -0.30690 Ha/atom
Energy relative to the elements ... -0.721 eV per atom

abc: 3.1152 3.1152 3.1152
angles: 90.00 90.00 90.00
Closest atoms and distances in Å follow each position.
Positions (direct):
Ti 0.5000 0.5000 0.5000  8 Rh 2.70
Rh 0.0000 0.0000 0.0000  8 Ti 2.70

***

First-principles (PBE) data for crystalline TmRh2 at its relaxed geometry, as listed in the Materials Project.

Properties
VASP energy ... -0.26336 Ha/atom
Energy relative to the elements ... -0.765 eV per atom

abc: 5.3137 5.3137 5.3137
angles: 60.00 60.00 60.00
Closest atoms and distances in Å follow each position.
Positions (direct):
Rh 0.6250 0.1250 0.1250  6 Rh 2.66
Rh 0.1250 0.1250 0.6250  6 Rh 2.66
Rh 0.1250 0.1250 0.1250  6 Rh 2.66
Rh 0.1250 0.6250 0.1250  6 Rh 2.66
Tm 0.5000 0.5000 0.5000  12 Rh 3.12, 4 Tm 3.25
Tm 0.7500 0.7500 0.7500  12 Rh 3.12, 4 Tm 3.25

***

First-principles (PBE) data for crystalline Tm4Rh at its relaxed geometry, as listed in the Materials Project.

Properties
VASP energy ... -0.18298 Ha/atom
Energy relative to the elements ... 0.074 eV per atom

abc: 7.5340 7.5340 7.5340
angles: 60.00 60.00 60.00
Closest atoms and distances in Å follow each position.
Positions (direct):
Tm 0.3885 0.3885 0.3885  1 Rh 2.56
Tm 0.8615 0.8615 0.8615  1 Rh 2.56
Tm 0.8615 0.8615 0.4154  1 Rh 2.56
Tm 0.3885 0.8346 0.3885  1 Rh 2.56
Tm 0.3885 0.3885 0.8346  1 Rh 2.56
Tm 0.8346 0.3885 0.3885  1 Rh 2.56
Tm 0.8615 0.4154 0.8615  1 Rh 2.56
Tm 0.4154 0.8615 0.8615  1 Rh 2.56
Rh 0.2500 0.2500 0.2500  4 Tm 2.56
Rh 0.0000 0.0000 0.0000  4 Tm 2.56

***

First-principles (PBE) data for crystalline TmRh3 at its relaxed geometry, as listed in the Materials Project.

Properties
VASP energy ... -0.26478 Ha/atom
Energy relative to the elements ... -0.563 eV per atom

abc: 4.0252 4.0252 4.0252
angles: 90.00 90.00 90.00
Closest atoms and distances in Å follow each position.
Positions (direct):
Tm 0.0000 0.0000 0.0000  12 Rh 2.85
Rh 0.0000 0.5000 0.5000  8 Rh 2.85, 4 Tm 2.85
Rh 0.5000 0.0000 0.5000  4 Tm 2.85, 8 Rh 2.85
Rh 0.5000 0.5000 0.0000  8 Rh 2.85, 4 Tm 2.85

***

First-principles (PBE) data for crystalline YTmRh2 at its relaxed geometry, as listed in the Materials Project.

Properties
VASP energy ... -0.26906 Ha/atom
Energy relative to the elements ... -0.904 eV per atom

abc: 4.8274 4.8274 4.8274
angles: 60.00 60.00 60.00
Closest atoms and distances in Å follow each position.
Positions (direct):
Rh 0.2500 0.2500 0.2500  4 Tm 2.96, 4 Y 2.96
Rh 0.7500 0.7500 0.7500  4 Tm 2.96, 4 Y 2.96
Tm 0.5000 0.5000 0.5000  8 Rh 2.96
Y 0.0000 0.0000 0.0000  8 Rh 2.96

***

First-principles (PBE) data for crystalline TmZnRh at its relaxed geometry, as listed in the Materials Project.

Properties
VASP energy ... -0.18838 Ha/atom
Energy relative to the elements ... -0.759 eV per atom

abc: 4.0187 6.8874 8.0187
angles: 90.00 90.00 90.00
Closest atoms and distances in Å follow each position.
Positions (direct):
Tm 0.7500 0.9646 0.6837  5 Rh 2.88-2.92, 5 Zn 3.09-3.16
Tm 0.2500 0.5354 0.1837  5 Rh 2.88-2.92, 5 Zn 3.09-3.16
Tm 0.2500 0.0354 0.3163  5 Rh 2.88-2.92, 5 Zn 3.09-3.16
Tm 0.7500 0.4646 0.8163  5 Rh 2.88-2.92, 5 Zn 3.09-3.16
Zn 0.7500 0.3605 0.4349  4 Rh 2.61-2.68
Zn 0.7500 0.8605 0.0651  4 Rh 2.61-2.68
Zn 0.2500 0.6395 0.5651  4 Rh 2.61-2.68
Zn 0.2500 0.1395 0.9349  4 Rh 2.61-2.68
Rh 0.7500 0.7446 0.3783  4 Zn 2.61-2.68, 3 Tm 2.88
Rh 0.7500 0.2446 0.1217  4 Zn 2.61-2.68, 3 Tm 2.88
Rh 0.2500 0.2554 0.6217  4 Zn 2.61-2.68, 3 Tm 2.88
Rh 0.2500 0.7554 0.8783  4 Zn 2.61-2.68, 3 Tm 2.88

***

First-principles (PBE) data for crystalline VRh at its relaxed geometry, as listed in the Materials Project.

Properties
VASP energy ... -0.31548 Ha/atom
Energy relative to the elements ... -0.361 eV per atom

abc: 2.7425 2.7425 3.6642
angles: 90.00 90.00 90.00
Closest atoms and distances in Å follow each position.
Positions (direct):
Rh 0.0000 0.0000 0.0000  8 V 2.67, 4 Rh 2.74
V 0.5000 0.5000 0.5000  8 Rh 2.67, 4 V 2.74

***

First-principles (PBE) data for crystalline VRh at its relaxed geometry, as listed in the Materials Project.

Properties
VASP energy ... -0.31642 Ha/atom
Energy relative to the elements ... -0.386 eV per atom

abc: 4.4484 4.4484 2.7964
angles: 90.00 90.00 97.96
Closest atoms and distances in Å follow each position.
Positions (direct):
V 0.7036 0.7036 0.0000  1 V 2.38, 8 Rh 2.65
V 0.2964 0.2964 0.0000  1 V 2.38, 8 Rh 2.65
Rh 0.7857 0.2143 0.5000  8 V 2.65, 5 Rh 2.80-2.96
Rh 0.2143 0.7857 0.5000  8 V 2.65, 5 Rh 2.80-2.96